VASP calculation (PBE-GGA) on a relaxed NdN crystal.

Lattice parameters (Å, degrees): 3.1295 3.1295 3.1295 90.00 90.00 90.00
Last column: nearest neighbours and their distance in Å.
Fractional positions:
Nd1 0.0000 0.0000 0.0000  8 N 2.71
N1 0.5000 0.5000 0.5000  8 Nd 2.71

Results
- Energy relative to the elements: -1.5 eV per formula unit
- Crystal system: cubic
- E: -7.125 eV per atom

VASP calculation (PBE-GGA) on a relaxed NdN2 crystal.

Lattice parameters (Å, degrees): 6.6288 6.6288 6.2183 65.40 65.40 43.22
Last column: nearest neighbours and their distance in Å.
Fractional positions:
N1 0.8197 0.8197 0.8675  1 N 1.20
N2 0.6035 0.6035 0.5553  1 N 1.25
N3 0.6153 0.6153 0.7451  1 N 1.25
N4 0.1542 0.1542 0.1869  2 Nd 2.27-2.33
N5 0.9282 0.9282 0.7830  1 N 1.20
N6 0.3805 0.3805 0.2725  3 Nd 2.24-2.30
Nd1 0.5839 0.5839 0.1748  3 N 2.30-2.52
Nd2 0.3619 0.3619 0.9306  2 N 2.24-2.33
Nd3 0.1781 0.1781 0.5285  2 N 2.27-2.28

Results
- Energy relative to the elements: -2.4 eV per formula unit
- Crystal system: monoclinic
- E: -7.707 eV per atom